Density functional theory data (PBE) for crystalline Na6Nb4Ga4Si7S5O48 at its relaxed geometry.

Properties
The energy is -6.924 eV/atom.

Cell lengths 8.796, 15.347, 22.551 Å; angles 89.75, 89.89, 90.00 degrees
Space group P1 (No. 1)
Asymmetric unit:
Na: 0.000 0.000 0.000 x1
Na: 0.002 0.673 0.333 x1
Na: 0.013 0.001 0.503 x1
Na: 0.116 0.503 0.753 x1
Na: 0.133 0.170 0.082 x1
Na: 0.361 0.671 0.585 x1
Na: 0.377 0.003 0.249 x1
Na: 0.482 0.502 0.002 x1
Na: 0.495 0.172 0.834 x1
Na: 0.496 0.833 0.669 x1
Na: 0.498 0.505 0.503 x1
Na: 0.505 0.833 0.170 x1
Na: 0.515 0.172 0.325 x1
Na: 0.637 0.002 0.757 x1
Na: 0.859 0.503 0.251 x1
Na: 0.981 0.675 0.827 x1
Na: 0.988 0.333 0.675 x1
Na: 0.998 0.334 0.165 x1
Nb: 0.016 0.666 0.972 x1
Nb: 0.018 0.667 0.481 x1
Nb: 0.474 0.167 0.981 x1
Nb: 0.483 0.837 0.022 x1
Nb: 0.487 0.160 0.475 x1
Nb: 0.502 0.504 0.145 x1
Nb: 0.510 0.508 0.858 x1
Nb: 0.518 0.507 0.354 x1
Nb: 0.981 0.002 0.858 x1
Nb: 0.985 0.007 0.357 x1
Nb: 0.993 0.003 0.648 x1
Nb: 0.996 0.335 0.526 x1
Ga: 0.033 0.332 0.015 x1
Ga: 0.461 0.831 0.515 x1
Ga: 0.497 0.176 0.688 x1
Ga: 0.500 0.501 0.651 x1
Ga: 0.504 0.836 0.312 x1
Ga: 0.506 0.170 0.186 x1
Ga: 0.517 0.835 0.822 x1
Ga: 0.965 0.337 0.316 x1
Ga: 0.989 0.335 0.813 x1
Ga: 0.989 0.670 0.687 x1
Ga: 0.991 0.997 0.147 x1
Ga: 0.993 0.677 0.184 x1
Si: 0.130 0.197 0.914 x1
Si: 0.140 0.471 0.913 x1
Si: 0.142 0.813 0.588 x1
Si: 0.151 0.524 0.592 x1
Si: 0.214 0.169 0.589 x1
Si: 0.218 0.839 0.910 x1
Si: 0.279 0.671 0.089 x1
Si: 0.345 0.023 0.093 x1
Si: 0.352 0.312 0.088 x1
Si: 0.353 0.970 0.413 x1
Si: 0.362 0.695 0.415 x1
Si: 0.633 0.981 0.917 x1
Si: 0.641 0.352 0.250 x1
Si: 0.643 0.696 0.918 x1
Si: 0.650 0.657 0.247 x1
Si: 0.704 0.001 0.245 x1
Si: 0.790 0.501 0.745 x1
Si: 0.846 0.154 0.750 x1
Si: 0.847 0.851 0.751 x1
Si: 0.854 0.195 0.418 x1
Si: 0.860 0.480 0.416 x1
S: 0.138 0.152 0.251 x1
S: 0.139 0.857 0.250 x1
S: 0.207 0.501 0.251 x1
S: 0.282 0.336 0.416 x1
S: 0.288 0.003 0.750 x1
S: 0.356 0.357 0.749 x1
S: 0.356 0.649 0.750 x1
S: 0.636 0.314 0.585 x1
S: 0.638 0.022 0.584 x1
S: 0.707 0.671 0.584 x1
S: 0.712 0.334 0.919 x1
S: 0.782 0.834 0.419 x1
S: 0.788 0.171 0.084 x1
S: 0.854 0.814 0.084 x1
S: 0.858 0.522 0.084 x1
O: 0.063 0.226 0.979 x1
O: 0.063 0.771 0.247 x1
O: 0.064 0.438 0.852 x1
O: 0.065 0.910 0.593 x1
O: 0.068 0.768 0.527 x1
O: 0.070 0.096 0.905 x1
O: 0.071 0.239 0.259 x1
O: 0.071 0.564 0.649 x1
O: 0.071 0.573 0.923 x1
O: 0.074 0.113 0.197 x1
O: 0.074 0.901 0.303 x1
O: 0.075 0.429 0.576 x1
O: 0.103 0.092 0.304 x1
O: 0.105 0.753 0.923 x1
O: 0.106 0.083 0.591 x1
O: 0.106 0.255 0.578 x1
O: 0.106 0.578 0.247 x1
O: 0.109 0.924 0.908 x1
O: 0.110 0.259 0.858 x1
O: 0.113 0.420 0.255 x1
O: 0.115 0.912 0.196 x1
O: 0.117 0.423 0.975 x1
O: 0.118 0.745 0.642 x1
O: 0.121 0.587 0.531 x1
O: 0.157 0.018 0.095 x1
O: 0.166 0.320 0.081 x1
O: 0.169 0.989 0.406 x1
O: 0.172 0.684 0.423 x1
O: 0.174 0.684 0.147 x1
O: 0.175 0.657 0.029 x1
O: 0.189 0.349 0.753 x1
O: 0.189 0.652 0.749 x1
O: 0.190 0.993 0.696 x1
O: 0.191 0.320 0.363 x1
O: 0.191 0.347 0.471 x1
O: 0.194 0.016 0.803 x1
O: 0.303 0.491 0.197 x1
O: 0.304 0.514 0.304 x1
O: 0.305 0.154 0.251 x1
O: 0.305 0.849 0.254 x1
O: 0.312 0.851 0.973 x1
O: 0.321 0.159 0.529 x1
O: 0.321 0.185 0.923 x1
O: 0.321 0.818 0.854 x1
O: 0.323 0.185 0.645 x1
O: 0.325 0.487 0.904 x1
O: 0.328 0.820 0.581 x1
O: 0.338 0.517 0.595 x1
O: 0.373 0.086 0.032 x1
O: 0.376 0.246 0.143 x1
O: 0.379 0.415 0.412 x1
O: 0.380 0.411 0.695 x1
O: 0.381 0.924 0.476 x1
O: 0.383 0.924 0.752 x1
O: 0.385 0.258 0.424 x1
O: 0.387 0.583 0.093 x1
O: 0.387 0.757 0.359 x1
O: 0.389 0.081 0.744 x1
O: 0.390 0.591 0.803 x1
O: 0.392 0.754 0.081 x1
O: 0.417 0.608 0.695 x1
O: 0.420 0.400 0.802 x1
O: 0.420 0.593 0.405 x1
O: 0.421 0.066 0.150 x1
O: 0.424 0.074 0.424 x1
O: 0.424 0.928 0.080 x1
O: 0.427 0.269 0.027 x1
O: 0.427 0.735 0.755 x1
O: 0.429 0.409 0.094 x1
O: 0.430 0.939 0.353 x1
O: 0.431 0.270 0.746 x1
O: 0.432 0.724 0.478 x1
O: 0.561 0.259 0.244 x1
O: 0.562 0.737 0.977 x1
O: 0.564 0.947 0.855 x1
O: 0.567 0.596 0.912 x1
O: 0.568 0.401 0.587 x1
O: 0.569 0.748 0.256 x1
O: 0.570 0.081 0.928 x1
O: 0.570 0.404 0.308 x1
O: 0.573 0.602 0.192 x1
O: 0.576 0.062 0.638 x1
O: 0.576 0.934 0.577 x1
O: 0.577 0.270 0.531 x1
O: 0.596 0.916 0.254 x1
O: 0.598 0.089 0.245 x1
O: 0.604 0.593 0.587 x1
O: 0.604 0.918 0.974 x1
O: 0.607 0.413 0.912 x1
O: 0.608 0.079 0.530 x1
O: 0.608 0.422 0.195 x1
O: 0.609 0.751 0.578 x1
O: 0.611 0.257 0.925 x1
O: 0.617 0.262 0.639 x1
O: 0.624 0.587 0.306 x1
O: 0.629 0.747 0.857 x1
O: 0.659 0.153 0.740 x1
O: 0.660 0.852 0.755 x1
O: 0.670 0.183 0.429 x1
O: 0.671 0.486 0.413 x1
O: 0.675 0.512 0.805 x1
O: 0.678 0.486 0.689 x1
O: 0.685 0.517 0.088 x1
O: 0.687 0.824 0.080 x1
O: 0.691 0.157 0.031 x1
O: 0.692 0.851 0.472 x1
O: 0.697 0.822 0.364 x1
O: 0.699 0.183 0.138 x1
O: 0.796 0.682 0.638 x1
O: 0.797 0.322 0.864 x1
O: 0.802 0.351 0.972 x1
O: 0.803 0.657 0.530 x1
O: 0.808 0.323 0.580 x1
O: 0.809 0.018 0.586 x1
O: 0.818 0.012 0.306 x1
O: 0.819 0.987 0.190 x1
O: 0.820 0.990 0.915 x1
O: 0.823 0.678 0.931 x1
O: 0.828 0.353 0.252 x1
O: 0.837 0.654 0.240 x1
O: 0.873 0.085 0.805 x1
O: 0.876 0.763 0.140 x1
O: 0.877 0.248 0.357 x1
O: 0.883 0.757 0.425 x1
O: 0.883 0.921 0.695 x1
O: 0.886 0.250 0.078 x1
O: 0.886 0.578 0.032 x1
O: 0.888 0.913 0.412 x1
O: 0.890 0.093 0.088 x1
O: 0.894 0.417 0.473 x1
O: 0.896 0.589 0.744 x1
O: 0.899 0.416 0.754 x1
O: 0.916 0.561 0.140 x1
O: 0.918 0.433 0.078 x1
O: 0.919 0.770 0.032 x1
O: 0.920 0.580 0.427 x1
O: 0.921 0.905 0.808 x1
O: 0.923 0.102 0.692 x1
O: 0.924 0.095 0.412 x1
O: 0.926 0.247 0.756 x1
O: 0.929 0.901 0.088 x1
O: 0.931 0.759 0.743 x1
O: 0.932 0.237 0.476 x1
O: 0.933 0.444 0.355 x1

Density functional theory data (PBE) for crystalline Ba4PtN4 at its relaxed geometry.

Properties
The energy is -5.392 eV/atom.

Cell lengths 6.506, 6.601, 9.829 Å; angles 91.49, 107.99, 103.11 degrees
Space group P-1 (No. 2)
Asymmetric unit:
Ba: 0.002 0.261 0.381 x2
Ba: 0.185 0.797 0.995 x2
Ba: 0.255 0.284 0.851 x2
Ba: 0.400 0.744 0.377 x2
Pt: 0.431 0.247 0.245 x2
N: 0.128 0.001 0.208 x2
N: 0.234 0.451 0.164 x2
N: 0.302 0.519 0.637 x2
N: 0.407 0.976 0.774 x2